1.
{"formula": "YbSe2", "functional": "meta-GGA r2SCAN", "state": "optimized geometry", "cell": [[4.0158, 0.0000, 0.0000], [0.0000, 4.0158, 0.0000], [0.0000, 0.0000, 8.1556]], "species": ["Yb", "Yb", "Se", "Se", "Se", "Se"], "frac_coords": [[0.0000, 0.5000, 0.7269], [0.5000, 0.0000, 0.2731], [0.0000, 0.0000, 0.0000], [0.5000, 0.5000, 0.0000], [0.0000, 0.5000, 0.3703], [0.5000, 0.0000, 0.6297]], "crystal_system": "tetragonal", "e_tot_ev_per_atom": -23.422}


2.
{"formula": "Cs2Ni3Se4", "functional": "meta-GGA r2SCAN", "state": "optimized geometry", "cell": [[-5.2541, -2.7033, 1.6574], [5.1894, -3.2757, 0.0081], [1.2444, 4.9269, 6.1697]], "species": ["Cs", "Cs", "Ni", "Ni", "Ni", "Se", "Se", "Se", "Se"], "frac_coords": [[0.3412, 0.3412, 0.6823], [0.6588, 0.6588, 0.3177], [0.0000, 0.5000, 0.0000], [0.0000, 0.0000, 0.0000], [0.5000, 0.0000, 0.0000], [0.2699, 0.9351, 0.2050], [0.7301, 0.0649, 0.7950], [0.0649, 0.7301, 0.7950], [0.9351, 0.2699, 0.2050]], "crystal_system": "orthorhombic", "e_tot_ev_per_atom": -16.708}


3.
{"formula": "CaMnO2", "functional": "meta-GGA r2SCAN", "state": "optimized geometry", "cell": [[3.2526, 0.0004, -4.6909], [0.0025, -6.4628, 0.0004], [-3.2503, -0.0010, -4.6894]], "species": ["Ca", "Ca", "Ca", "Ca", "Mn", "Mn", "Mn", "Mn", "O", "O", "O", "O", "O", "O", "O", "O"], "frac_coords": [[0.9694, 0.8854, 0.5315], [0.4694, 0.8854, 0.0315], [0.9694, 0.6146, 0.0315], [0.4694, 0.6146, 0.5315], [0.4708, 0.3720, 0.0339], [0.4709, 0.1280, 0.5339], [0.9708, 0.3720, 0.5339], [0.9709, 0.1280, 0.0339], [0.2159, 0.1437, 0.2783], [0.7159, 0.1437, 0.7783], [0.2160, 0.3563, 0.7782], [0.7160, 0.3563, 0.2783], [0.2189, 0.8859, 0.7812], [0.7189, 0.8859, 0.2812], [0.2190, 0.6141, 0.2811], [0.7190, 0.6141, 0.7811]], "e_tot_ev_per_atom": -10.980}


4.
{"formula": "NiAuO2", "functional": "meta-GGA r2SCAN", "state": "optimized geometry", "cell": [[2.5120, 0.9364, -1.2412], [0.1668, 0.3273, -2.9313], [-0.9744, 6.1358, -0.8590]], "species": ["Ni", "Au", "O", "O"], "frac_coords": [[0.5000, 0.5000, 0.5000], [0.0000, 0.0000, 0.0000], [0.8877, 0.8877, 0.3370], [0.1123, 0.1123, 0.6630]], "crystal_system": "trigonal", "e_tot_ev_per_atom": -19.426}


5.
{"formula": "InBr3", "functional": "meta-GGA r2SCAN", "state": "optimized geometry", "cell": [[-1.5303, -1.1528, 6.6367], [5.2295, -3.2752, 2.8843], [5.0476, 3.5317, 2.9010]], "species": ["In", "In", "Br", "Br", "Br", "Br", "Br", "Br"], "frac_coords": [[0.0000, 0.8334, 0.3332], [0.0000, 0.1666, 0.6668], [0.2376, 0.7757, 0.0000], [0.7639, 0.9271, 0.6491], [0.7624, 0.2243, 0.0000], [0.2361, 0.0729, 0.3509], [0.7639, 0.5762, 0.3509], [0.2361, 0.4238, 0.6491]], "crystal_system": "monoclinic", "e_tot_ev_per_atom": -16.611}


6.
{"formula": "NpAl2Pd5", "functional": "meta-GGA r2SCAN", "state": "optimized geometry", "cell": [[0.6886, -6.9829, 3.8643], [4.0950, -2.8560, 6.2645], [-4.5856, 5.6915, -3.2784]], "species": ["Np", "Al", "Al", "Pd", "Pd", "Pd", "Pd", "Pd"], "frac_coords": [[0.0000, 0.0000, 0.0000], [0.7466, 0.7466, 0.0000], [0.2534, 0.2534, 0.0000], [0.3546, 0.8546, 0.5000], [0.1454, 0.6454, 0.5000], [0.8546, 0.3546, 0.5000], [0.6454, 0.1454, 0.5000], [0.5000, 0.5000, 0.0000]], "crystal_system": "tetragonal", "e_tot_ev_per_atom": -27.246}


7.
{"formula": "GeTePt", "functional": "meta-GGA r2SCAN", "state": "optimized geometry", "cell": [[-3.8973, -0.1173, -4.9412], [-0.4926, -6.2520, 0.5370], [-4.9180, 0.7192, 3.8619]], "species": ["Ge", "Ge", "Ge", "Ge", "Te", "Te", "Te", "Te", "Pt", "Pt", "Pt", "Pt"], "frac_coords": [[0.1220, 0.8780, 0.3780], [0.8780, 0.3780, 0.1220], [0.3780, 0.1220, 0.8780], [0.6220, 0.6220, 0.6220], [0.8778, 0.1222, 0.6222], [0.1222, 0.6222, 0.8778], [0.6222, 0.8778, 0.1222], [0.3778, 0.3778, 0.3778], [0.5140, 0.4860, 0.9860], [0.4860, 0.9860, 0.5140], [0.9860, 0.5140, 0.4860], [0.0140, 0.0140, 0.0140]], "crystal_system": "cubic", "e_tot_ev_per_atom": -30.753}


8.
{"formula": "Sr2FeIrO6", "functional": "meta-GGA r2SCAN", "state": "optimized geometry", "cell": [[-4.3432, -1.6456, -3.0530], [0.6942, -1.1196, -5.3969], [-0.3080, -5.2636, -1.7666]], "species": ["Sr", "Sr", "Fe", "Ir", "O", "O", "O", "O", "O", "O"], "frac_coords": [[0.7502, 0.7507, 0.7489], [0.2498, 0.2493, 0.2511], [0.5000, 0.5000, 0.5000], [0.0000, 0.0000, 0.0000], [0.7782, 0.2371, 0.7254], [0.2218, 0.7629, 0.2746], [0.2429, 0.7097, 0.7935], [0.7571, 0.2903, 0.2065], [0.7198, 0.7836, 0.2650], [0.2802, 0.2164, 0.7350]], "crystal_system": "triclinic", "e_tot_ev_per_atom": -15.373}


9.
{"formula": "CaZnF4", "functional": "meta-GGA r2SCAN", "state": "optimized geometry", "cell": [[-4.3422, -0.0895, 2.9642], [1.6965, -4.3928, 2.3500], [3.8683, 5.2667, 1.1644]], "species": ["Ca", "Ca", "Zn", "Zn", "F", "F", "F", "F", "F", "F", "F", "F"], "frac_coords": [[0.6250, 0.8750, 0.2498], [0.3750, 0.1250, 0.7502], [0.1249, 0.3755, 0.2504], [0.8751, 0.6245, 0.7496], [0.2946, 0.4648, 0.0706], [0.6055, 0.7946, 0.5706], [0.9650, 0.2755, 0.5704], [0.7757, 0.1059, 0.0707], [0.2243, 0.8941, 0.9293], [0.0350, 0.7245, 0.4296], [0.3945, 0.2054, 0.4294], [0.7054, 0.5352, 0.9294]], "crystal_system": "tetragonal", "e_tot_ev_per_atom": -8.121}


10.
{"formula": "Li9Mn7O16", "functional": "meta-GGA r2SCAN", "state": "optimized geometry", "cell": [[2.8195, 0.0000, 0.0000], [0.0000, 10.3769, 0.0197], [0.0000, 4.1794, 9.6442]], "species": ["Li", "Li", "Li", "Li", "Li", "Li", "Li", "Li", "Li", "Mn", "Mn", "Mn", "Mn", "Mn", "Mn", "Mn", "O", "O", "O", "O", "O", "O", "O", "O", "O", "O", "O", "O", "O", "O", "O", "O"], "frac_coords": [[0.5000, 0.7550, 0.7575], [0.5000, 0.2434, 0.7529], [0.0000, 0.7448, 0.4949], [0.0000, 0.2552, 0.5051], [0.5000, 0.7566, 0.2471], [0.5000, 0.2450, 0.2425], [0.0000, 0.7605, 0.0067], [0.0000, 0.2395, 0.9933], [0.5000, 0.0000, 0.0000], [0.0000, 0.0090, 0.7597], [0.0000, 0.9910, 0.2403], [0.0000, 0.5007, 0.7499], [0.5000, 0.0000, 0.5000], [0.5000, 0.5000, 0.5000], [0.0000, 0.4993, 0.2501], [0.5000, 0.5000, 0.0000], [0.5000, 0.8896, 0.8626], [0.5000, 0.3806, 0.8595], [0.0000, 0.8982, 0.6257], [0.0000, 0.3833, 0.6098], [0.5000, 0.8823, 0.3628], [0.5000, 0.3787, 0.3602], [0.0000, 0.8874, 0.1401], [0.0000, 0.3810, 0.1099], [0.5000, 0.6213, 0.6398], [0.5000, 0.1177, 0.6372], [0.0000, 0.6167, 0.3902], [0.0000, 0.1018, 0.3743], [0.5000, 0.6194, 0.1405], [0.5000, 0.1104, 0.1374], [0.0000, 0.6190, 0.8901], [0.0000, 0.1126, 0.8599]], "crystal_system": "monoclinic", "e_tot_ev_per_atom": -9.092}


11.
{"formula": "ErNi3", "functional": "meta-GGA r2SCAN", "state": "optimized geometry", "cell": [[-7.2302, 3.8660, 2.0880], [-7.6871, -0.8135, 3.4392], [-5.1996, 2.3152, 6.2598]], "species": ["Er", "Er", "Er", "Ni", "Ni", "Ni", "Ni", "Ni", "Ni", "Ni", "Ni", "Ni"], "frac_coords": [[0.8612, 0.8612, 0.8612], [0.1388, 0.1388, 0.1388], [0.0000, 0.0000, 0.0000], [0.4172, 0.4172, 0.9199], [0.4172, 0.9199, 0.4172], [0.9199, 0.4172, 0.4172], [0.5000, 0.5000, 0.5000], [0.3333, 0.3333, 0.3333], [0.6667, 0.6667, 0.6667], [0.5828, 0.0801, 0.5828], [0.5828, 0.5828, 0.0801], [0.0801, 0.5828, 0.5828]], "crystal_system": "trigonal", "e_tot_ev_per_atom": -17.874}


12.
{"formula": "AlCuCl4", "functional": "meta-GGA r2SCAN", "state": "optimized geometry", "cell": [[0.0000, 0.0000, -6.1164], [0.0000, -7.7242, 0.0000], [-12.7047, 0.0000, 0.0000]], "species": ["Al", "Al", "Al", "Al", "Cu", "Cu", "Cu", "Cu", "Cl", "Cl", "Cl", "Cl", "Cl", "Cl", "Cl", "Cl", "Cl", "Cl", "Cl", "Cl", "Cl", "Cl", "Cl", "Cl"], "frac_coords": [[0.4437, 0.7431, 0.0879], [0.9437, 0.2569, 0.9121], [0.9437, 0.2431, 0.4121], [0.4437, 0.7569, 0.5879], [0.9405, 0.4916, 0.1600], [0.4405, 0.5084, 0.8400], [0.4405, 0.9916, 0.3400], [0.9405, 0.0084, 0.6600], [0.0916, 0.7435, 0.0927], [0.5916, 0.2565, 0.9073], [0.5916, 0.2435, 0.4073], [0.0916, 0.7565, 0.5927], [0.0569, 0.2469, 0.0723], [0.5569, 0.7531, 0.9277], [0.5569, 0.7469, 0.4277], [0.0569, 0.2531, 0.5723], [0.5621, 0.5122, 0.1637], [0.0621, 0.4878, 0.8363], [0.0621, 0.0122, 0.3363], [0.5621, 0.9878, 0.6637], [0.0630, 0.4717, 0.3344], [0.5630, 0.5283, 0.6656], [0.5630, 0.9717, 0.1656], [0.0630, 0.0283, 0.8344]], "crystal_system": "orthorhombic", "e_tot_ev_per_atom": -8.349}


13.
{"formula": "MoCl5", "functional": "meta-GGA r2SCAN", "state": "optimized geometry", "cell": [[6.1734, -0.0119, -0.4402], [-0.9195, 12.5187, -0.2750], [-0.0283, 0.0822, 12.5550]], "species": ["Mo", "Mo", "Mo", "Mo", "Mo", "Mo", "Cl", "Cl", "Cl", "Cl", "Cl", "Cl", "Cl", "Cl", "Cl", "Cl", "Cl", "Cl", "Cl", "Cl", "Cl", "Cl", "Cl", "Cl", "Cl", "Cl", "Cl", "Cl", "Cl", "Cl", "Cl", "Cl", "Cl", "Cl", "Cl", "Cl"], "frac_coords": [[0.0000, 0.8928, 0.1073], [0.0000, 0.1073, 0.8928], [0.4339, 0.4402, 0.2260], [0.5661, 0.5598, 0.7739], [0.5661, 0.7739, 0.5597], [0.4339, 0.2260, 0.4402], [0.8303, 0.6823, 0.4945], [0.7529, 0.7416, 0.7416], [0.6833, 0.0185, 0.8313], [0.6203, 0.4081, 0.4081], [0.3782, 0.3992, 0.7837], [0.2471, 0.2584, 0.2584], [0.3020, 0.6519, 0.8387], [0.1349, 0.9232, 0.9232], [0.6980, 0.1612, 0.3480], [0.3782, 0.7837, 0.3992], [0.8663, 0.2699, 0.8860], [0.3168, 0.1687, 0.9815], [0.2467, 0.4490, 0.0653], [0.3167, 0.9815, 0.1687], [0.6219, 0.2163, 0.6008], [0.6219, 0.6007, 0.2163], [0.2467, 0.0652, 0.4490], [0.6832, 0.8313, 0.0185], [0.6980, 0.3480, 0.1612], [0.1337, 0.7301, 0.1140], [0.1697, 0.3177, 0.5055], [0.3020, 0.8387, 0.6520], [0.7533, 0.5510, 0.9347], [0.8663, 0.8861, 0.2699], [0.7533, 0.9347, 0.5510], [0.3796, 0.5919, 0.5919], [0.8303, 0.4945, 0.6823], [0.1338, 0.1140, 0.7301], [0.8651, 0.0768, 0.0768], [0.1697, 0.5055, 0.3177]], "crystal_system": "monoclinic", "e_tot_ev_per_atom": -10.408}


14.
{"formula": "Dy4Te3N2", "functional": "meta-GGA r2SCAN", "state": "optimized geometry", "cell": [[11.7057, 0.0000, 0.0000], [0.0000, 7.2480, -0.0051], [0.0000, 6.9519, 11.0211]], "species": ["Dy", "Dy", "Dy", "Dy", "Dy", "Dy", "Dy", "Dy", "Dy", "Dy", "Dy", "Dy", "Dy", "Dy", "Dy", "Dy", "Te", "Te", "Te", "Te", "Te", "Te", "Te", "Te", "Te", "Te", "Te", "Te", "N", "N", "N", "N", "N", "N", "N", "N"], "frac_coords": [[0.8615, 0.2251, 0.1405], [0.6385, 0.2251, 0.6405], [0.1385, 0.7749, 0.8595], [0.3615, 0.7749, 0.3595], [0.6590, 0.9396, 0.3868], [0.8410, 0.9396, 0.8868], [0.3410, 0.0604, 0.6132], [0.1590, 0.0604, 0.1132], [0.6051, 0.8674, 0.1645], [0.8949, 0.8674, 0.6645], [0.3949, 0.1326, 0.8355], [0.1051, 0.1326, 0.3355], [0.9161, 0.7057, 0.3141], [0.5839, 0.7057, 0.8141], [0.0839, 0.2943, 0.6859], [0.4161, 0.2943, 0.1859], [0.4826, 0.6462, 0.6032], [0.0174, 0.6462, 0.1032], [0.5174, 0.3538, 0.3968], [0.9826, 0.3538, 0.8968], [0.6526, 0.2218, 0.8980], [0.8474, 0.2218, 0.3980], [0.3474, 0.7782, 0.1020], [0.1526, 0.7782, 0.6020], [0.8363, 0.5569, 0.5711], [0.6637, 0.5569, 0.0711], [0.1637, 0.4430, 0.4289], [0.3363, 0.4430, 0.9289], [0.5121, 0.9818, 0.2688], [0.9879, 0.9818, 0.7688], [0.4879, 0.0182, 0.7312], [0.0121, 0.0182, 0.2312], [0.7608, 0.9153, 0.2453], [0.7392, 0.9153, 0.7453], [0.2392, 0.0847, 0.7547], [0.2608, 0.0847, 0.2547]], "crystal_system": "monoclinic", "e_tot_ev_per_atom": -26.564}


15.
{"formula": "GdMgHg2", "functional": "meta-GGA r2SCAN", "state": "optimized geometry", "cell": [[0.0000, 3.5886, 3.5886], [3.5886, 0.0000, 3.5886], [3.5886, 3.5886, 0.0000]], "species": ["Gd", "Mg", "Hg", "Hg"], "frac_coords": [[0.5000, 0.5000, 0.5000], [0.0000, 0.0000, 0.0000], [0.2500, 0.2500, 0.2500], [0.7500, 0.7500, 0.7500]], "crystal_system": "cubic", "e_tot_ev_per_atom": -37.058}


16.
{"formula": "Rb2V3O8", "functional": "meta-GGA r2SCAN", "state": "optimized geometry", "cell": [[8.8975, 0.0000, 0.0000], [0.0000, 8.8975, 0.0000], [0.0000, 0.0000, 5.6841]], "species": ["Rb", "Rb", "Rb", "Rb", "V", "V", "V", "V", "V", "V", "O", "O", "O", "O", "O", "O", "O", "O", "O", "O", "O", "O", "O", "O", "O", "O"], "frac_coords": [[0.1668, 0.6668, 0.0099], [0.6668, 0.8332, 0.0099], [0.3332, 0.1668, 0.0099], [0.8332, 0.3332, 0.0099], [0.3653, 0.8653, 0.5290], [0.8653, 0.6347, 0.5290], [0.1347, 0.3653, 0.5290], [0.6347, 0.1347, 0.5290], [0.5000, 0.5000, 0.7204], [0.0000, 0.0000, 0.7204], [0.5000, 0.5000, 0.0061], [0.0000, 0.0000, 0.0061], [0.8068, 0.0835, 0.6405], [0.1932, 0.9165, 0.6405], [0.9165, 0.8068, 0.6405], [0.0835, 0.1932, 0.6405], [0.4165, 0.6932, 0.6405], [0.6932, 0.5835, 0.6405], [0.3068, 0.4165, 0.6405], [0.5835, 0.3068, 0.6405], [0.5000, 0.0000, 0.6386], [0.0000, 0.5000, 0.6386], [0.6326, 0.1326, 0.2387], [0.3674, 0.8674, 0.2387], [0.8674, 0.6326, 0.2387], [0.1326, 0.3674, 0.2387]], "polymorph_energy_mev_per_atom": 8, "crystal_system": "tetragonal"}


17.
{"formula": "Tm2PdPt", "functional": "meta-GGA r2SCAN", "state": "optimized geometry", "cell": [[-3.2580, 0.0290, 3.5932], [-3.5715, 3.2819, 0.0090], [-4.5687, -1.3852, -0.8574]], "species": ["Tm", "Tm", "Pd", "Pt"], "frac_coords": [[0.5000, 0.5000, 0.5000], [0.0000, 0.0000, 0.0000], [0.2500, 0.2500, 0.2500], [0.7500, 0.7500, 0.7500]], "crystal_system": "cubic", "e_tot_ev_per_atom": -37.377}


18.
{"formula": "Pu2SO2", "functional": "meta-GGA r2SCAN", "state": "optimized geometry", "cell": [[3.8998, 0.0000, 0.0000], [-1.9499, 3.3774, 0.0000], [0.0000, 0.0000, 6.6482]], "species": ["Pu", "Pu", "S", "O", "O"], "frac_coords": [[0.6667, 0.3333, 0.7239], [0.3333, 0.6667, 0.2761], [0.0000, 0.0000, 0.0000], [0.3333, 0.6667, 0.6297], [0.6667, 0.3333, 0.3703]], "crystal_system": "trigonal", "e_tot_ev_per_atom": -41.723}


19.
{"formula": "Mg3Zr", "functional": "meta-GGA r2SCAN", "state": "optimized geometry", "cell": [[-1.5141, 5.7942, -2.0096], [1.4813, -0.9523, 6.0665], [4.8195, 0.9003, -1.0355]], "species": ["Mg", "Mg", "Mg", "Mg", "Mg", "Mg", "Zr", "Zr"], "frac_coords": [[0.3336, 0.1668, 0.2500], [0.8332, 0.1668, 0.2500], [0.8332, 0.6664, 0.2500], [0.6664, 0.8332, 0.7500], [0.1668, 0.3336, 0.7500], [0.1668, 0.8332, 0.7500], [0.3333, 0.6667, 0.2500], [0.6667, 0.3333, 0.7500]], "crystal_system": "hexagonal", "e_tot_ev_per_atom": -8.765}